Density functional theory data (GGA-PBE) for crystalline AlPH8C2Cl4 at its relaxed geometry.

Geometry as CIF:
```
data_AlPH8C2Cl4
_cell_length_a 14.8706
_cell_length_b 11.6763
_cell_length_c 12.7953
_cell_angle_alpha 90.00
_cell_angle_beta 90.04
_cell_angle_gamma 90.00
_symmetry_space_group_name_H-M 'P 1 21/c 1'
_symmetry_Int_Tables_number 14
_symmetry_space_group_name_Hall '-P 2ybc'
loop_
_atom_site_label
_atom_site_fract_x
_atom_site_fract_y
_atom_site_fract_z
Al1 0.1250 0.2393 0.4171
Al2 0.3723 0.7145 0.5333
P1 0.1079 0.6391 0.3518
P2 0.3590 0.1452 0.1573
H1 0.0149 0.6202 0.3619
H2 0.0951 0.6610 0.8157
H3 0.1070 0.6890 0.9526
H4 0.1092 0.6426 0.1660
H5 0.1270 0.5006 0.2159
H6 0.1497 0.5730 0.4299
H7 0.2034 0.6974 0.8681
H8 0.2169 0.6034 0.2183
H9 0.2651 0.1331 0.1506
H10 0.3563 0.1566 0.7042
H11 0.3614 0.1773 0.5653
H12 0.3665 0.1333 0.3431
H13 0.3771 0.5048 0.7820
H14 0.3956 0.0826 0.0735
H15 0.4607 0.1969 0.6437
H16 0.4708 0.0927 0.2833
C1 0.1308 0.7123 0.8744
C2 0.1440 0.5914 0.2255
C3 0.3873 0.2064 0.6411
C4 0.3973 0.0855 0.2786
Cl1 0.0084 0.1538 0.8860
Cl2 0.1216 0.1889 0.5790
Cl3 0.1228 0.0926 0.3155
Cl4 0.2456 0.1613 0.8908
Cl5 0.2579 0.6377 0.6113
Cl6 0.3661 0.6017 0.0439
Cl7 0.3701 0.6645 0.3704
Cl8 0.4939 0.6497 0.6037
```

Calculated values
Final energy in eV/atom: -4.522
Energy relative to the elements in kJ/mol of formula units: -1221.0

Density functional theory data (GGA-PBE) for crystalline RbGd2CuS4 at its relaxed geometry.

Geometry as CIF:
```
data_RbGd2CuS4
_cell_length_a 4.0225
_cell_length_b 13.9123
_cell_length_c 13.8611
_cell_angle_alpha 90.00
_cell_angle_beta 90.00
_cell_angle_gamma 90.00
_symmetry_space_group_name_H-M 'C m c m'
_symmetry_Int_Tables_number 63
_symmetry_space_group_name_Hall '-C 2c 2'
loop_
_atom_site_label
_atom_site_fract_x
_atom_site_fract_y
_atom_site_fract_z
Rb1 0.0000 0.1066 0.2500
Gd1 0.0000 0.3660 0.0613
Cu1 0.0000 0.1655 0.7500
S1 0.0000 0.0000 0.0000
S2 0.0000 0.2592 0.6096
S3 0.0000 0.4234 0.2500
```

Calculated values
Final energy in eV/atom: -7.876
Energy relative to the elements in kJ/mol of formula units: -1470.6

Which of these has the lowest final energy?
RbGd2CuS4